4
Lattice="3.7207 -1.8973 1.3592 -0.1130 -3.0268 3.1806 0.7903 -4.2146 -0.9502" Properties=species:S:1:pos:R:3 comment="ZnInRh2 (meta-GGA r2SCAN, relaxed)" crystal_system=cubic space_group="No. 225" e_form_ev_per_atom=-0.49 pbc="T T T"
Rh 3.2984 -6.8540 2.6921
Rh 1.0995 -2.2847 0.8974
In 2.1990 -4.5694 1.7948
Zn 0.0000 0.0000 0.0000